! Pr2MnNiO6, relaxed, DFT GGA+U; values from VASP
! Space group = P2_1/c, No. 14
! MP2020-corrected energy = -81.8 eV per formula unit
! Formation energy from the elements = -2764 meV/atom
&SYSTEM
  ibrav = 0, nat = 20, ntyp = 4
/
ATOMIC_SPECIES
Mn 54.94 Mn.upf
O 16.00 O.upf
Ni 58.69 Ni.upf
Pr 140.91 Pr.upf
ATOMIC_POSITIONS angstrom
Mn 0.0000 0.0000 0.0000
Mn -4.1222 -3.2262 -1.7420
O -1.2204 -0.3437 -1.4855
O -6.1066 -9.7979 -5.9388
O -2.4098 -6.0997 -4.1092
O -2.7741 -2.3682 -2.8371
O -2.9634 -4.7847 -1.5362
O -4.4868 -2.4760 -5.7287
O -4.0221 -10.6075 -4.0669
O -4.3636 -5.3569 -5.8881
O -4.5529 -7.7734 -4.5873
O -2.8402 -7.6655 -1.6956
O -3.3049 0.4660 -3.3574
O -4.9172 -4.0418 -3.3151
Ni -1.6438 -0.7710 -3.4648
Ni -1.5610 -6.1444 -2.2175
Pr -0.9977 -2.9233 -1.2173
Pr -4.7005 -6.3637 -2.6612
Pr -2.6265 -3.7778 -4.7632
Pr -6.3293 -7.2182 -6.2070
CELL_PARAMETERS angstrom
-4.2051 2.1471 -2.9893
0.9174 -3.6891 -3.9404
-4.0394 -8.5996 -0.4947

---

! NaLi2FePCO7, relaxed, DFT GGA+U; values from VASP
! Space group = P1, No. 1
! MP2020-corrected energy = -92.9 eV per formula unit
! Formation energy from the elements = -2307 meV/atom
&SYSTEM
  ibrav = 0, nat = 52, ntyp = 6
/
ATOMIC_SPECIES
O 16.00 O.upf
Li 6.94 Li.upf
C 12.01 C.upf
Na 22.99 Na.upf
P 30.97 P.upf
Fe 55.84 Fe.upf
ATOMIC_POSITIONS angstrom
O -1.1191 -5.8262 -5.2981
O -0.2603 -2.1866 -1.9921
O -3.4291 -10.2716 1.4223
O -1.4774 -3.3513 -3.9476
O -5.3973 -7.0865 -2.9218
O -3.9796 -10.1611 -3.3994
O -1.2544 -4.5314 -1.7343
O -4.0890 -5.9289 -1.0167
O -1.8227 -6.8536 0.5056
O -2.2230 -11.0481 -0.7478
O -1.2461 -3.7507 1.0921
O -0.2019 -8.1366 3.4304
O -4.9110 -1.1111 -0.2180
O -3.6356 -7.6513 2.6085
O -4.5866 -5.6587 -5.7812
O -0.3268 -8.9237 0.6585
O -0.0143 -12.2267 -2.0396
O -3.8684 -9.0883 -0.7577
O -4.0964 -5.4855 2.1913
O -3.0133 -6.6457 -3.2550
O -2.7070 -2.4352 -1.8828
O -0.3459 -10.2250 -2.9429
O -4.6040 -11.5180 -0.5175
O -4.6049 -4.6652 -3.1569
O -0.8279 -7.8506 -4.4098
O 0.6317 -6.5728 0.4957
O -0.4940 -7.6583 -1.5380
O -4.5255 -3.2657 0.2771
Li -2.4642 -4.9521 -0.0466
Li -5.3857 -9.1005 -2.2454
Li 1.3308 -8.8247 2.1235
Li -6.2218 -4.7645 -4.6200
Li -1.6783 -9.2776 2.3270
Li -3.5159 -11.8948 -2.4620
Li -4.2186 -7.4820 -4.8763
Li -3.1680 -4.3269 -4.8522
C -1.0530 -7.1101 -5.4601
C -4.6941 -2.0271 0.6752
C -0.1710 -11.5039 -3.1055
C -3.9259 -6.4541 3.0441
Na -0.6231 -5.9939 2.4289
Na -5.9021 -5.2310 0.3059
Na -1.4949 -1.6380 0.0377
Na -2.2333 -8.8258 -2.5556
P -4.2749 -6.0775 -2.5532
P -1.4220 -3.1265 -2.4170
P -3.5261 -10.4766 -0.1210
P -0.5014 -7.4972 0.0005
Fe -0.1548 -10.5141 -0.6778
Fe -4.7145 -3.0578 -1.8290
Fe -3.8513 -7.4596 0.5317
Fe -0.9502 -6.1123 -3.0575
CELL_PARAMETERS angstrom
-6.5536 -0.9613 0.4723
0.0490 -3.9024 -7.7221
1.6318 -8.7087 4.7593

---

! Ba5Co5O13F, relaxed, DFT GGA+U; values from VASP
! Space group = Ama2, No. 40
! MP2020-corrected energy = -162.3 eV per formula unit
! Formation energy from the elements = -2123 meV/atom
&SYSTEM
  ibrav = 0, nat = 48, ntyp = 4
/
ATOMIC_SPECIES
Co 58.93 Co.upf
O 16.00 O.upf
Ba 137.33 Ba.upf
F 19.00 F.upf
ATOMIC_POSITIONS angstrom
Co 0.0456 0.0514 21.6581
Co 0.0031 0.0000 12.0929
Co 0.0456 0.0514 14.6205
Co 0.0456 -0.0514 2.5277
Co 2.9287 -1.6908 19.8073
Co 2.9287 1.6908 4.3784
Co 0.0031 0.0000 0.0000
Co 2.9287 1.6908 7.7144
Co 0.0456 -0.0514 9.5652
Co 2.9287 -1.6908 16.4713
O 4.5670 0.7971 22.9908
O 4.4170 0.8892 8.2458
O 2.9429 3.5438 22.8145
O 2.2847 2.1520 6.0464
O 2.2847 -2.1520 18.1393
O 4.5670 0.7971 13.2878
O 2.9750 3.4347 3.5933
O 1.3682 -0.8377 10.9485
O 1.4816 -0.7933 15.7698
O 4.5670 -0.7971 10.8979
O 2.9429 -3.5438 1.3713
O 1.3682 0.8377 13.2373
O 2.9429 3.5438 13.4641
O 4.4170 -0.8892 20.3387
O 4.4170 -0.8892 15.9399
O 2.9429 -3.5438 10.7216
O 2.9750 -3.4347 20.5924
O 4.4170 0.8892 3.8470
O 1.3682 0.8377 23.0413
O 1.4816 0.7933 8.4160
O 1.4816 -0.7933 20.5088
O 2.9750 3.4347 8.4996
O 2.9750 -3.4347 15.6862
O 1.3682 -0.8377 1.1444
O 4.5670 -0.7971 1.1949
O 1.4816 0.7933 3.6769
Ba 2.9549 -1.6593 23.2083
Ba 2.9646 -1.6623 8.7372
Ba 2.9549 -1.6593 13.0703
Ba 0.1917 -0.0342 6.0464
Ba 0.1917 0.0342 18.1393
Ba 2.9646 1.6623 15.4485
Ba 2.9549 1.6593 11.1154
Ba 2.9549 1.6593 0.9774
Ba 2.9646 1.6623 20.8301
Ba 2.9646 -1.6623 3.3556
F 2.4371 -1.4118 6.0464
F 2.4371 1.4118 18.1393
CELL_PARAMETERS angstrom
2.9492 -5.0081 0.0000
2.9492 5.0081 0.0000
0.0000 0.0000 24.1857

---

! Li3TiMn4O8, relaxed, DFT GGA+U; values from VASP
! Space group = P-1, No. 2
! MP2020-corrected energy = -127.4 eV per formula unit
! Formation energy from the elements = -2344 meV/atom
&SYSTEM
  ibrav = 0, nat = 32, ntyp = 4
/
ATOMIC_SPECIES
O 16.00 O.upf
Mn 54.94 Mn.upf
Li 6.94 Li.upf
Ti 47.87 Ti.upf
ATOMIC_POSITIONS angstrom
O -5.1613 -1.3956 -4.4632
O -7.0252 -0.6387 -11.0055
O -0.8170 -0.2521 -1.8454
O -0.7333 1.3355 -4.6510
O -7.1124 -2.0853 -8.6152
O -6.1857 -1.8584 -13.7844
O -1.8439 -0.7156 -11.1697
O -4.2477 -3.0222 -7.2507
O -2.8059 -0.6646 -5.7615
O -5.2912 0.1591 -7.3108
O -4.1994 -1.4466 -9.8703
O -1.7128 -2.2707 -8.3214
O -2.7562 0.9098 -8.3814
O 0.0225 -1.4717 -4.6249
O -6.2685 -3.4458 -10.9801
O 0.1090 -0.0260 -7.0156
Mn -5.2476 -1.6182 -11.7691
Mn -3.5012 -1.0554 -7.8152
Mn -3.5048 0.5355 -10.4216
Mn -8.8385 -0.9773 -7.7737
Mn -1.7557 -0.4929 -3.8643
Mn -7.9222 -0.7487 -13.0046
Mn -8.8346 -2.5673 -5.1665
Mn -2.5855 -2.4175 -10.4425
Li -6.2817 -0.2319 -9.1028
Li -0.8612 -0.2562 -9.0074
Li -0.7219 -1.8797 -6.5278
Li -5.2282 -3.1883 -9.1592
Li -6.1428 -1.8533 -6.6231
Li -1.7752 1.0776 -6.4721
Ti -4.4224 1.8968 -7.7973
Ti 0.9151 0.2284 -5.2313
CELL_PARAMETERS angstrom
1.8372 -2.7247 -5.2512
-8.8366 -2.5681 -5.1672
-0.0044 3.1818 -5.2128

---

! K2NaCrF6, relaxed, DFT GGA+U; values from VASP
! Space group = Fm-3m, No. 225
! MP2020-corrected energy = -55.9 eV per formula unit
! Formation energy from the elements = -3123 meV/atom
&SYSTEM
  ibrav = 0, nat = 10, ntyp = 4
/
ATOMIC_SPECIES
F 19.00 F.upf
Na 22.99 Na.upf
K 39.10 K.upf
Cr 52.00 Cr.upf
ATOMIC_POSITIONS angstrom
F -6.4817 -4.2156 -4.2156
F -1.9494 -4.2156 -4.2156
F -4.2156 -6.4817 -4.2156
F -4.2156 -1.9494 -4.2156
F -4.2156 -4.2156 -6.4817
F -4.2156 -4.2156 -1.9494
Na -4.2156 -4.2156 -4.2156
K -6.3234 -6.3234 -6.3234
K -2.1078 -2.1078 -2.1078
Cr 0.0000 0.0000 0.0000
CELL_PARAMETERS angstrom
-4.2156 -4.2156 0.0000
-4.2156 0.0000 -4.2156
0.0000 -4.2156 -4.2156

---

! Li9Mn2Co5O16, relaxed, DFT GGA+U; values from VASP
! Space group = Pm, No. 6
! MP2020-corrected energy = -205.0 eV per formula unit
! Formation energy from the elements = -1712 meV/atom
&SYSTEM
  ibrav = 0, nat = 32, ntyp = 4
/
ATOMIC_SPECIES
O 16.00 O.upf
Co 58.93 Co.upf
Mn 54.94 Mn.upf
Li 6.94 Li.upf
ATOMIC_POSITIONS angstrom
O 0.0000 6.4051 6.0966
O 1.4505 4.2014 7.5852
O 1.4505 0.0531 7.3444
O 0.0000 6.2278 8.6759
O 0.0000 2.0924 3.0634
O 1.4505 4.1960 1.5703
O 1.4505 4.3544 10.1838
O 1.4505 4.1941 4.3338
O 0.0000 2.1208 5.8203
O 0.0000 6.5628 11.7975
O 0.0000 1.9965 11.6901
O 0.0000 6.2655 2.9813
O 1.4505 0.0291 4.5764
O 1.4505 8.4475 1.2641
O 1.4505 8.4830 10.4415
O 0.0000 2.3385 9.0383
Co 1.4505 6.3834 7.3709
Co 1.4505 2.1645 4.3628
Co 0.0000 4.4640 2.8971
Co 0.0000 0.0850 5.9160
Co 1.4505 2.1649 10.3963
Mn 0.0000 4.2687 8.8793
Mn 0.0000 8.3985 11.8137
Li 0.0000 4.2282 5.7565
Li 1.4505 2.1409 1.5622
Li 0.0000 4.4384 0.1730
Li 0.0000 0.0592 8.8186
Li 1.4505 6.3448 1.4775
Li 1.4505 2.1420 7.2801
Li 1.4505 6.3610 4.3408
Li 0.0000 8.3287 2.9656
Li 1.4505 6.4055 10.4928
CELL_PARAMETERS angstrom
2.9010 0.0000 0.0000
0.0000 8.4458 0.0000
0.0000 0.0713 11.8215

---

! VPbO3, relaxed, DFT GGA+U; values from VASP
! Piezoelectric modulus e_max = 2.75 C/m²
! MP2020-corrected energy = -38.2 eV per formula unit
! Formation energy from the elements = -2115 meV/atom
&SYSTEM
  ibrav = 0, nat = 10, ntyp = 3
/
ATOMIC_SPECIES
O 16.00 O.upf
V 50.94 V.upf
Pb 207.20 Pb.upf
ATOMIC_POSITIONS angstrom
O -2.2012 -9.5824 2.6276
O -1.4548 -7.4343 4.1010
O -1.4089 -5.9748 -0.5420
O -2.5249 -5.7840 2.2372
O 0.4077 -5.4770 2.7952
O -3.2714 -7.9321 0.7639
V -1.0729 -5.5196 3.6075
V -2.8895 -6.0174 0.2704
Pb -3.6620 -7.7205 3.1450
Pb -3.9856 -3.9221 2.7546
CELL_PARAMETERS angstrom
-1.4929 -4.2962 -2.9468
2.1402 -3.3006 3.7276
-4.0219 -3.9231 2.7745

---

! Li2V3CrO8, relaxed, DFT GGA+U; values from VASP
! Space group = P-1, No. 2
! MP2020-corrected energy = -115.1 eV per formula unit
! Formation energy from the elements = -2484 meV/atom
&SYSTEM
  ibrav = 0, nat = 28, ntyp = 4
/
ATOMIC_SPECIES
O 16.00 O.upf
V 50.94 V.upf
Li 6.94 Li.upf
Cr 52.00 Cr.upf
ATOMIC_POSITIONS angstrom
O -4.4365 4.4145 8.2287
O -1.3622 0.7517 6.0258
O -1.5343 2.6331 3.4333
O -3.0968 5.1337 3.6145
O -3.0686 1.8057 8.4144
O 0.2571 3.5711 6.0721
O -1.4491 4.6258 8.4611
O 0.0687 7.1218 1.2750
O 1.5362 4.3711 1.4553
O -3.0796 3.6271 6.1121
O -0.1482 1.8918 1.2201
O -1.4063 6.2138 6.2584
O -1.4844 8.0560 3.5755
O -1.5451 4.2001 1.3127
O -2.7622 7.0022 8.3739
O 0.1511 5.1124 3.6696
V 1.4635 6.0970 2.4905
V -1.4002 6.1569 9.6834
V -4.3836 2.7193 7.1979
V -0.0519 8.7229 2.4906
V -1.4120 -0.7792 4.8021
V 0.0567 5.2836 7.2899
Li -1.4559 6.1383 4.2847
Li -1.5722 6.1171 0.6052
Li -1.4358 2.6530 5.4044
Li -1.3755 2.7240 9.0819
Cr -2.9206 5.3136 7.2427
Cr 0.0002 3.5019 2.4441
CELL_PARAMETERS angstrom
-3.0312 5.2517 0.0000
-2.8155 -1.6267 9.5968
2.9266 5.1913 0.0911

---

! Li2FeO3, relaxed, DFT GGA+U; values from VASP
! MP2020-corrected energy = -38.4 eV per formula unit
! Formation energy from the elements = -1877 meV/atom
&SYSTEM
  ibrav = 0, nat = 24, ntyp = 3
/
ATOMIC_SPECIES
O 16.00 O.upf
Fe 55.84 Fe.upf
Li 6.94 Li.upf
ATOMIC_POSITIONS angstrom
O -9.3516 -0.7231 3.7200
O -6.5940 -2.2667 3.6920
O -3.0409 -2.2620 1.3797
O -4.1468 -0.7344 3.5946
O -1.3892 -2.2781 3.5662
O -3.0490 0.8230 1.3590
O -5.6523 2.0318 1.4340
O -3.9908 -3.4756 3.6169
O -0.2914 -0.7207 1.3306
O -5.4964 -0.7095 1.4563
O -8.2539 0.8341 1.4843
O -6.6020 0.8180 3.6710
Fe -4.8341 0.7328 2.5280
Fe -7.4203 2.1171 2.5770
Fe -2.2228 -3.5611 2.4736
Fe -4.8089 -2.1764 2.5229
Li -3.8268 -0.7104 0.1031
Li -7.4240 -0.7163 2.5882
Li -3.9082 2.1524 0.0901
Li -9.0318 -0.6990 0.2285
Li -0.6114 -0.7447 4.8221
Li -8.3462 0.6975 5.0149
Li -2.2191 -0.7276 2.4626
Li -5.8162 -0.7336 4.9478
CELL_PARAMETERS angstrom
0.7667 -1.4664 4.7997
-7.8162 4.3050 0.1798
-2.5936 -4.2824 0.0713

---

! Li11V6O5F19, relaxed, DFT GGA+U; values from VASP
! Space group = P1, No. 1
! MP2020-corrected energy = -258.8 eV per formula unit
! Formation energy from the elements = -2980 meV/atom
&SYSTEM
  ibrav = 0, nat = 41, ntyp = 4
/
ATOMIC_SPECIES
Li 6.94 Li.upf
F 19.00 F.upf
V 50.94 V.upf
O 16.00 O.upf
ATOMIC_POSITIONS angstrom
Li -3.4393 -1.0952 -4.5783
Li -6.3393 6.0476 -2.5483
Li -10.7456 6.6268 -4.6645
Li -9.9904 10.1141 -0.1604
Li -4.1410 0.7751 -1.9718
Li -8.5609 8.6932 -2.8120
Li -5.0661 4.6390 -5.2906
Li -5.8993 -0.7860 0.6329
Li -6.8587 3.0321 -2.2327
Li -5.1290 -2.5177 -1.7778
Li -12.2465 8.0675 -2.0366
F -11.4437 8.4526 -0.2750
F -1.9036 0.6885 -4.5232
F -8.1393 4.3805 -1.7062
F -4.3761 0.4590 -0.1008
F -8.8353 5.7301 -4.0076
F -6.7815 7.6234 -3.7143
F -2.5777 2.1166 -1.9561
F -11.1486 6.5982 -2.7377
F -4.8725 1.9117 -3.3259
F -12.2540 9.5348 -3.3710
F -3.7985 -1.0149 -2.6458
F -5.9633 6.4290 -0.7359
F -9.3264 8.2457 -4.5466
F -6.9772 0.0128 -3.4766
F -6.6108 9.1548 -1.2890
F -3.0760 -2.2432 -0.3258
F -5.5108 4.6376 -3.3430
F -7.5730 2.5449 -3.9558
F -9.6613 10.0528 -2.0805
V -5.6211 2.1197 0.3029
V -11.1158 11.2559 -2.8053
V -7.3641 7.6229 -0.1373
V -9.5011 5.6294 -2.0904
V -3.9268 3.6169 -2.5367
V -9.0957 13.2172 -0.6467
O -6.9195 1.4934 -0.9831
O -1.1156 -0.4970 -1.5494
O -4.9041 3.3809 -0.9008
O -10.4540 11.2713 -4.5808
O -8.5733 7.1749 -1.5349
CELL_PARAMETERS angstrom
-0.5853 -0.6409 -5.1877
-3.9431 -3.6303 0.9703
-9.0227 13.2996 -0.6117

---

! Sm2FeSbO7, relaxed, DFT GGA+U; values from VASP
! Space group = Imma, No. 74
! MP2020-corrected energy = -87.9 eV per formula unit
! Formation energy from the elements = -2841 meV/atom
&SYSTEM
  ibrav = 0, nat = 22, ntyp = 4
/
ATOMIC_SPECIES
O 16.00 O.upf
Sb 121.76 Sb.upf
Sm 150.36 Sm.upf
Fe 55.84 Fe.upf
ATOMIC_POSITIONS angstrom
O 0.0000 5.6109 1.7192
O 2.1989 4.0296 1.3087
O 3.6832 -1.8703 3.5111
O 1.4843 0.2890 6.5390
O 0.0000 1.8703 1.3245
O 3.6832 1.8703 3.9058
O 5.1675 -0.2890 1.3087
O 0.0000 1.8703 4.4129
O 1.4843 -0.2890 3.9216
O 3.6832 1.8703 0.8174
O 2.1989 -0.2890 1.3087
O -1.4843 4.0296 3.9216
O 2.1990 3.4517 -1.3087
O 1.4843 4.0296 3.9216
Sb 3.6832 0.0000 0.0000
Sb 0.0000 0.0000 5.2303
Sm -1.8416 1.8703 2.6152
Sm 0.0000 3.7406 0.0000
Sm 0.0000 0.0000 0.0000
Sm 1.8416 1.8703 2.6152
Fe 1.8416 1.8703 -2.6152
Fe 1.8416 -1.8703 2.6152
CELL_PARAMETERS angstrom
-3.6832 3.7406 5.2303
3.6832 -3.7406 5.2303
3.6832 3.7406 -5.2303